# NiP2H24C4O14

A geometry-optimized NiP2H24C4O14 structure (GGA+U, Materials Project).

a b c (Å): 12.651 7.187 9.863
angles (deg): 90.00 110.69 90.00
Space group P2_1/c (No. 14)
One atom of each set of equivalent atoms:
Ni1 0.000 0.000 0.000 [2 per cell]
P1 0.256 0.019 0.531 [4 per cell]
H1 0.028 0.724 0.729 [4 per cell]
H2 0.091 0.173 0.627 [4 per cell]
H3 0.106 0.697 0.143 [4 per cell]
H4 0.123 0.171 0.247 [4 per cell]
H5 0.187 0.119 0.945 [4 per cell]
H6 0.195 0.608 0.461 [4 per cell]
H7 0.309 0.607 0.782 [4 per cell]
H8 0.351 0.665 0.352 [4 per cell]
H9 0.354 0.242 0.287 [4 per cell]
H10 0.401 0.160 0.145 [4 per cell]
H11 0.433 0.638 0.942 [4 per cell]
H12 0.497 0.218 0.797 [4 per cell]
C1 0.348 0.689 0.881 [4 per cell]
C2 0.409 0.228 0.724 [4 per cell]
O1 0.059 0.215 0.160 [4 per cell]
O2 0.069 0.689 0.665 [4 per cell]
O3 0.150 0.003 0.962 [4 per cell]
O4 0.168 0.511 0.099 [4 per cell]
O5 0.233 0.168 0.415 [4 per cell]
O6 0.278 0.681 0.970 [4 per cell]
O7 0.380 0.051 0.651 [4 per cell]

Calculated values
V	838.9	Å³ per cell
calculated total energy	-5.4078	eV/atom
ΔE_f	-1.140	eV per atom